#one
InNi22B6: optimized geometry, PBE.

## Properties
Total magnetic moment = 0.39 μB/cell
V = 9.878 Å³/atom

POSCAR file:
```
InNi22B6
1.0
3.428 -6.146 -2.287
-3.370 -4.568 -4.746
2.405 -0.516 -6.979
Ni B In
22 6 1
direct
0.002 0.661 0.002 Ni
0.000 0.000 0.000 Ni
0.250 0.250 0.250 Ni
0.335 0.002 0.002 Ni
0.611 0.611 0.611 Ni
0.335 0.002 0.661 Ni
0.002 0.335 0.661 Ni
0.611 0.611 0.168 Ni
0.661 0.002 0.002 Ni
0.168 0.611 0.611 Ni
0.002 0.002 0.661 Ni
0.379 0.379 0.379 Ni
0.002 0.002 0.335 Ni
0.379 0.862 0.379 Ni
0.611 0.168 0.611 Ni
0.335 0.661 0.002 Ni
0.002 0.335 0.002 Ni
0.379 0.379 0.862 Ni
0.661 0.335 0.002 Ni
0.862 0.379 0.379 Ni
0.002 0.661 0.335 Ni
0.661 0.002 0.335 Ni
0.273 0.727 0.727 B
0.727 0.273 0.727 B
0.273 0.727 0.273 B
0.727 0.273 0.273 B
0.273 0.273 0.727 B
0.727 0.727 0.273 B
0.750 0.750 0.750 In
```


#two
InNi22B6: optimized geometry, PBE.

## Properties
Total magnetic moment = 0.53 μB/cell
V = 10.061 Å³/atom

POSCAR file:
```
InNi22B6
1.0
0.000 5.264 5.264
5.264 0.000 5.264
5.264 5.264 0.000
B Ni In
6 22 1
direct
0.725 0.275 0.275 B
0.725 0.275 0.725 B
0.275 0.725 0.725 B
0.275 0.725 0.275 B
0.275 0.275 0.725 B
0.725 0.725 0.275 B
0.000 0.000 0.344 Ni
0.656 0.344 0.000 Ni
0.146 0.618 0.618 Ni
0.656 0.000 0.344 Ni
0.382 0.382 0.854 Ni
0.000 0.656 0.344 Ni
0.344 0.000 0.656 Ni
0.000 0.656 0.000 Ni
0.656 0.000 0.000 Ni
0.854 0.382 0.382 Ni
0.250 0.250 0.250 Ni
0.000 0.344 0.000 Ni
0.618 0.618 0.618 Ni
0.618 0.146 0.618 Ni
0.382 0.854 0.382 Ni
0.344 0.000 0.000 Ni
0.750 0.750 0.750 Ni
0.000 0.000 0.656 Ni
0.618 0.618 0.146 Ni
0.382 0.382 0.382 Ni
0.000 0.344 0.656 Ni
0.344 0.656 0.000 Ni
0.000 0.000 0.000 In
```


Stability verdict: #one, ahead by 56 meV per atom


#one
KMg6B: optimized geometry, PBE.

## Properties
Total magnetic moment = 0.00 μB/cell
V = 24.747 Å³/atom

POSCAR file:
```
KMg6B
1.0
3.107 0.000 0.000
0.000 6.489 0.000
0.000 0.000 19.639
Mg K B
12 2 2
direct
0.000 0.759 0.599 Mg
0.000 0.741 0.099 Mg
0.000 0.241 0.599 Mg
0.500 0.000 0.208 Mg
0.500 0.750 0.458 Mg
0.500 0.750 0.958 Mg
0.000 0.500 0.845 Mg
0.500 0.250 0.458 Mg
0.500 0.500 0.708 Mg
0.500 0.250 0.958 Mg
0.000 0.000 0.345 Mg
0.000 0.259 0.099 Mg
0.000 0.500 0.283 K
0.000 0.000 0.783 K
0.500 0.000 0.550 B
0.500 0.500 0.050 B
```


#two
KMg6B: optimized geometry, PBE.

## Properties
Total magnetic moment = 0.00 μB/cell
V = 25.158 Å³/atom

POSCAR file:
```
KMg6B
1.0
-1.475 -1.729 3.915
-4.477 -3.007 -3.016
8.739 -11.305 -1.701
Mg K B
12 2 2
direct
0.000 0.000 0.374 Mg
0.000 0.000 0.817 Mg
0.000 0.500 0.874 Mg
0.000 0.226 0.580 Mg
0.500 0.734 0.442 Mg
0.000 0.500 0.317 Mg
0.000 0.726 0.080 Mg
0.500 0.266 0.442 Mg
0.500 0.766 0.942 Mg
0.500 0.234 0.942 Mg
0.000 0.774 0.580 Mg
0.000 0.274 0.080 Mg
0.500 0.000 0.204 K
0.500 0.500 0.704 K
0.500 0.500 0.061 B
0.500 0.000 0.561 B
```


Stability verdict: #one, ahead by 108 meV per atom